# 1
Computed, not measured: a relaxed BaNaPO4 crystal at the GGA-PBE level of DFT.

Geometry as extended XYZ:
```
14
Lattice="5.697 0.000 0.000 -2.849 4.934 0.000 0.000 0.000 7.313" Properties=species:S:1:pos:R:3 pbc="T T T"
Ba 0.000 0.000 0.000
Ba 0.000 3.289 2.629
Na 0.000 3.289 6.143
Na 2.849 1.645 4.810
P 0.000 0.000 4.151
P 2.849 1.645 0.967
O 0.000 0.000 2.609
O 0.000 1.455 4.726
O -1.589 4.207 4.726
O 2.849 0.181 0.399
O 1.581 2.377 0.399
O 2.849 1.645 2.503
O 1.589 4.207 4.726
O 4.116 2.377 0.399
```

* final energy: -6.679 eV per atom
* crystal system: trigonal
* formation energy: -3.01 eV per atom
* calculated volume: 206 Å³/cell



# 2
Computed, not measured: a relaxed LiAlSiO4 crystal at the GGA-PBE level of DFT.

Geometry as extended XYZ:
```
28
Lattice="10.072 0.000 0.000 0.000 6.699 0.000 0.000 0.000 4.992" Properties=species:S:1:pos:R:3 pbc="T T T"
Li 1.458 0.101 0.000
Li 3.578 3.450 2.496
Li 6.494 3.249 0.000
Li 8.614 6.598 2.496
Al 1.737 3.449 4.966
Al 3.299 0.100 2.470
Al 6.773 6.599 4.966
Al 8.336 3.249 2.470
Si 0.945 1.874 2.466
Si 4.091 5.223 4.962
Si 5.981 1.476 2.466
Si 9.127 4.825 4.962
O 0.668 4.853 0.268
O 1.232 1.996 0.851
O 1.632 0.468 2.984
O 1.716 3.103 3.231
O 3.321 6.452 0.735
O 3.404 3.817 0.488
O 3.805 5.345 3.347
O 4.368 1.503 2.764
O 5.704 5.195 0.268
O 6.268 1.353 0.851
O 6.668 2.881 2.984
O 6.752 0.246 3.231
O 8.357 3.595 0.735
O 8.440 6.231 0.488
O 8.841 4.702 3.347
O 9.405 1.846 2.764
```

* final energy: -7.201 eV per atom
* crystal system: orthorhombic
* formation energy: -3.18 eV per atom
* calculated volume: 337 Å³/cell



# 3
Computed, not measured: a relaxed NbPO5 crystal at the GGA-PBE level of DFT.

Geometry as extended XYZ:
```
28
Lattice="11.473 0.000 0.000 0.000 6.801 0.000 0.000 0.000 5.425" Properties=species:S:1:pos:R:3 pbc="T T T"
Nb 0.726 1.149 0.000
Nb 5.010 4.550 2.713
Nb 6.462 2.251 0.000
Nb 10.747 5.652 2.713
P 1.763 3.210 2.654
P 3.973 6.611 5.367
P 7.499 0.190 2.654
P 9.710 3.591 5.367
O 0.048 0.080 1.417
O 0.928 4.510 2.711
O 1.421 2.302 3.837
O 1.525 2.510 1.309
O 2.479 0.205 0.016
O 3.258 3.605 2.729
O 4.211 5.911 4.022
O 4.315 5.702 1.125
O 4.808 1.109 5.424
O 5.689 3.481 4.130
O 5.784 3.320 1.417
O 6.665 5.692 2.711
O 7.157 1.099 3.837
O 7.261 0.890 1.309
O 8.215 3.196 0.016
O 8.994 6.596 2.729
O 9.948 4.291 4.022
O 10.052 4.499 1.125
O 10.544 2.291 5.424
O 11.425 6.721 4.130
```

* final energy: -8.189 eV per atom
* crystal system: orthorhombic
* formation energy: -2.93 eV per atom
* calculated volume: 423 Å³/cell



# 4
Computed, not measured: a relaxed Cd2AgAu crystal at the GGA-PBE level of DFT.

Geometry as extended XYZ:
```
16
Lattice="6.790 0.000 0.000 0.000 6.790 0.000 0.000 0.000 6.790" Properties=species:S:1:pos:R:3 pbc="T T T"
Cd 1.698 1.698 1.698
Cd 1.698 1.698 5.093
Cd 1.698 5.093 1.698
Cd 1.698 5.093 5.093
Cd 5.093 1.698 1.698
Cd 5.093 1.698 5.093
Cd 5.093 5.093 1.698
Cd 5.093 5.093 5.093
Ag 0.000 0.000 0.000
Ag 0.000 3.395 3.395
Ag 3.395 0.000 3.395
Ag 3.395 3.395 0.000
Au 0.000 0.000 3.395
Au 0.000 3.395 0.000
Au 3.395 0.000 0.000
Au 3.395 3.395 3.395
```

* final energy: -2.122 eV per atom
* crystal system: cubic
* formation energy: -0.13 eV per atom
* calculated volume: 313 Å³/cell



# 5
Computed, not measured: a relaxed Mg2VFe3S8 crystal at the GGA-PBE level of DFT.

Geometry as extended XYZ:
```
14
Lattice="5.986 -3.499 0.000 5.986 3.499 0.000 -3.928 0.000 5.726" Properties=species:S:1:pos:R:3 pbc="T T T"
Mg 0.028 0.000 2.148
Mg 8.015 0.000 3.577
V 5.986 0.000 0.000
Fe 2.993 1.750 0.000
Fe 2.993 -1.750 0.000
Fe 4.021 0.000 2.863
S 4.822 1.564 1.380
S -0.023 0.000 4.549
S 2.294 0.000 1.328
S 3.221 1.564 4.346
S 4.822 -1.564 1.380
S 5.749 0.000 4.397
S 8.066 0.000 1.176
S 3.221 -1.564 4.346
```

* final energy: -5.702 eV per atom
* crystal system: monoclinic
* formation energy: -0.93 eV per atom
* calculated volume: 240 Å³/cell



# 6
Computed, not measured: a relaxed Al2O3 crystal at the GGA-PBE level of DFT.

Geometry as extended XYZ:
```
10
Lattice="4.614 0.000 0.000 0.000 9.563 0.000 0.000 0.000 3.120" Properties=species:S:1:pos:R:3 pbc="T T T"
Al 0.079 1.678 0.000
Al 2.228 6.459 1.560
Al 2.385 3.104 1.560
Al 4.535 7.886 0.000
O 0.000 0.000 0.000
O 0.570 7.202 1.560
O 1.736 2.420 0.000
O 2.307 4.782 1.560
O 2.877 7.143 0.000
O 4.043 2.362 1.560
```

* final energy: -7.385 eV per atom
* crystal system: orthorhombic
* formation energy: -3.33 eV per atom
* calculated volume: 138 Å³/cell



# 7
Computed, not measured: a relaxed Nd4Cu3Ni crystal at the GGA-PBE level of DFT.

Geometry as extended XYZ:
```
8
Lattice="5.634 0.000 0.000 0.000 4.462 0.000 -0.012 0.000 7.357" Properties=species:S:1:pos:R:3 pbc="T T T"
Nd 0.000 0.000 0.000
Nd 1.341 0.000 3.774
Nd 2.806 2.231 6.337
Nd 4.208 2.231 2.729
Cu 1.442 2.231 1.626
Cu 2.752 0.000 1.129
Cu 4.235 0.000 4.798
Ni 5.566 2.231 5.305
```

* final energy: -4.865 eV per atom
* crystal system: monoclinic
* formation energy: -0.22 eV per atom
* calculated volume: 185 Å³/cell



# 8
Computed, not measured: a relaxed Na7Zr2Sc2Si3P3O24 crystal at the GGA-PBE level of DFT.

Geometry as extended XYZ:
```
123
Lattice="9.148 0.000 0.000 -4.559 7.947 0.000 -0.008 -0.017 22.891" Properties=species:S:1:pos:R:3 pbc="T T T"
Na 0.000 0.000 0.000
Na 7.500 2.854 11.392
Na -2.892 5.487 20.951
Na -1.224 2.636 3.760
Na 0.040 0.510 15.216
Na -2.825 5.548 9.473
Na 0.431 0.225 7.586
Na -1.227 3.136 19.076
Na 2.995 0.239 19.017
Na 0.004 5.791 22.813
Na -1.200 7.928 11.401
Na 1.716 2.902 5.686
Na 1.771 2.941 17.132
Na 0.488 5.582 15.245
Na 4.592 2.587 15.258
Na 2.987 5.566 3.801
Na 6.274 0.245 13.315
Na 6.252 0.300 1.882
Na 4.633 3.161 7.588
Na 3.403 5.851 11.374
Na 5.121 2.886 22.849
Zr -2.889 5.553 17.575
Zr -2.868 5.546 6.098
Zr 1.712 2.812 2.322
Zr 1.650 2.926 9.060
Zr 1.710 2.978 20.489
Zr 6.281 0.254 5.270
Sc -2.865 5.513 1.523
Sc -2.850 5.609 12.934
Sc 1.687 2.827 13.695
Sc 6.195 0.213 16.779
Sc 6.263 0.277 21.280
Sc 6.343 0.256 9.852
Si -4.187 7.866 3.758
Si -1.022 2.886 22.849
Si 0.341 0.542 11.419
Si -1.500 7.896 15.206
Si 0.387 5.874 19.036
Si 3.042 5.856 7.600
Si 4.935 2.568 19.032
Si 4.936 3.209 3.755
Si 7.613 2.593 7.611
P -1.528 3.216 15.199
P -0.188 5.565 3.736
P 3.041 0.546 22.823
P 0.367 5.227 11.452
P 3.616 0.239 7.641
P 4.389 2.891 11.424
P 3.049 5.228 22.879
P 3.601 5.545 15.188
P 8.934 0.235 19.038
O -3.964 6.947 2.439
O -2.183 3.863 13.961
O -2.237 4.055 7.449
O -3.824 6.958 18.899
O -3.518 7.003 11.530
O -1.912 4.268 0.052
O -1.797 4.109 16.450
O -3.542 7.196 5.100
O 0.601 1.508 12.716
O -0.020 2.673 1.254
O 0.709 1.495 19.195
O 0.106 2.643 7.731
O -0.027 3.116 21.555
O 1.065 1.260 10.118
O 0.966 1.454 3.660
O 0.021 3.126 15.095
O -1.181 5.313 11.539
O -2.179 7.131 0.088
O -2.222 7.182 16.507
O -1.094 5.300 4.960
O -1.266 5.713 18.879
O -1.896 6.981 7.468
O -1.762 6.931 13.910
O -1.030 5.765 2.472
O 2.397 1.219 21.583
O 0.645 4.303 10.225
O 0.711 4.287 3.612
O 2.360 1.437 15.097
O 0.960 4.330 19.154
O 2.729 1.530 7.747
O 2.790 1.501 1.150
O 1.023 4.587 12.692
O 4.451 0.044 8.907
O 0.585 6.790 20.365
O 0.753 6.776 3.900
O 4.693 0.081 15.309
O 1.020 6.520 17.690
O 0.981 6.632 11.279
O 4.517 0.490 6.410
O 3.300 2.627 19.194
O 4.577 0.415 22.735
O 2.475 4.321 7.738
O 3.486 2.685 12.663
O 2.412 4.571 1.228
O 3.302 3.177 3.626
O 2.697 4.292 15.073
O 2.789 4.289 21.662
O 3.494 3.137 10.172
O 5.168 1.647 17.706
O 2.397 6.538 6.263
O 5.244 1.608 11.294
O 2.386 6.609 22.720
O 5.649 1.750 3.920
O 2.751 6.830 15.339
O 2.824 6.791 8.913
O 5.637 1.923 20.359
O 4.529 5.295 16.407
O 5.198 4.160 5.076
O 5.293 4.144 11.551
O 4.594 5.374 0.075
O 4.487 5.759 13.938
O 5.644 3.875 2.447
O 7.874 0.060 3.895
O 5.660 4.034 18.872
O 4.693 5.743 7.468
O 6.913 1.930 8.923
O 7.013 1.802 15.352
O 7.855 0.413 11.310
O 7.227 1.521 22.753
O 8.090 0.026 20.301
O 7.370 1.638 6.293
O 8.084 0.494 17.780
```

* final energy: -7.317 eV per atom
* crystal system: triclinic
* formation energy: -3.08 eV per atom
* calculated volume: 1664 Å³/cell



# 9
Computed, not measured: a relaxed Pr4Re crystal at the GGA-PBE level of DFT.

Geometry as extended XYZ:
```
10
Lattice="0.000 5.651 5.651 5.651 0.000 5.651 5.651 5.651 0.000" Properties=species:S:1:pos:R:3 pbc="T T T"
Pr 8.603 5.524 5.524
Pr 2.698 2.698 2.698
Pr 5.778 5.778 2.698
Pr 5.778 2.698 5.778
Pr 5.524 8.603 5.524
Pr 5.524 5.524 8.603
Pr 8.603 8.603 8.603
Pr 2.698 5.778 5.778
Re 4.238 4.238 4.238
Re 7.064 7.064 7.064
```

* final energy: -5.676 eV per atom
* crystal system: cubic
* formation energy: 0.64 eV per atom
* calculated volume: 361 Å³/cell



# 10
Computed, not measured: a relaxed Li11MnAs6 crystal at the GGA-PBE level of DFT.

Geometry as extended XYZ:
```
36
Lattice="0.000 12.839 6.006 4.265 0.000 6.006 4.265 12.839 0.000" Properties=species:S:1:pos:R:3 pbc="T T T"
Li 0.000 0.000 0.000
Li 4.215 8.567 2.911
Li 2.086 2.183 2.930
Li 6.468 10.686 5.960
Li 4.219 4.237 5.933
Li 4.265 12.839 2.823
Li 2.132 6.420 3.003
Li 6.446 14.986 5.914
Li 4.224 8.602 5.917
Li 4.314 17.111 2.911
Li 2.178 10.656 2.930
Li 2.132 6.420 5.825
Li 4.265 12.839 5.845
Li 4.336 8.572 8.962
Li 6.437 15.021 8.920
Li 4.305 17.077 5.917
Li 2.083 10.692 5.914
Li 6.397 19.259 8.847
Li 4.310 21.441 5.933
Li 2.061 14.992 5.960
Li 6.357 23.496 8.920
Li 4.193 17.106 8.962
Mn 4.265 12.839 8.938
Mn 6.397 19.259 11.941
As 4.283 10.679 1.444
As 6.628 12.837 4.245
As 4.246 15.000 1.444
As 2.114 4.259 4.447
As 4.496 6.422 7.247
As 2.151 8.580 4.447
As 4.259 10.936 7.562
As 1.901 12.842 4.245
As 4.271 14.742 7.562
As 6.403 17.355 10.565
As 4.033 19.256 7.247
As 6.391 21.162 10.565
```

* final energy: -3.738 eV per atom
* crystal system: orthorhombic
* formation energy: -0.51 eV per atom
* calculated volume: 658 Å³/cell



# 11
Computed, not measured: a relaxed Er15Si9C crystal at the GGA-PBE level of DFT.

Geometry as extended XYZ:
```
50
Lattice="14.522 0.000 0.000 -7.261 12.576 0.000 0.000 0.000 6.283" Properties=species:S:1:pos:R:3 pbc="T T T"
Er -2.317 4.260 0.000
Er -4.730 8.439 0.000
Er 0.000 2.037 4.669
Er -5.496 11.558 4.669
Er 1.765 1.019 1.528
Er -1.722 7.390 4.474
Er 0.000 6.385 1.668
Er -1.731 9.384 1.668
Er 2.317 4.260 0.000
Er -2.413 12.453 0.000
Er 4.848 0.123 3.141
Er 2.531 4.137 3.141
Er 1.722 7.390 4.474
Er 0.000 10.373 4.474
Er 1.731 9.384 1.668
Er 5.530 3.193 4.809
Er 7.261 2.204 1.333
Er 5.539 5.186 1.333
Er 4.730 8.439 0.000
Er 2.413 12.453 0.000
Er 9.673 0.123 3.141
Er 4.943 8.316 3.141
Er 8.992 3.193 4.809
Er 7.261 6.191 4.809
Er 8.983 5.186 1.333
Er 5.496 11.558 4.669
Er 12.757 1.019 1.528
Er 7.261 10.539 1.528
Er 11.991 4.137 3.141
Er 9.578 8.316 3.141
Si -2.909 6.705 1.637
Si 0.000 3.323 1.672
Si -4.383 10.915 1.672
Si 0.000 5.022 4.571
Si -2.911 10.065 4.571
Si 2.878 1.662 4.813
Si 4.349 2.511 1.429
Si 2.909 6.705 1.637
Si 0.000 11.743 1.637
Si 7.261 0.833 4.778
Si 4.352 5.872 4.778
Si 2.911 10.065 4.571
Si 4.383 10.915 1.672
Si 10.172 2.511 1.429
Si 7.261 7.554 1.429
Si 11.644 1.662 4.813
Si 7.261 9.253 4.813
Si 10.170 5.872 4.778
C 0.000 8.384 3.058
C 7.261 4.192 6.199
```

* final energy: -5.764 eV per atom
* crystal system: hexagonal
* formation energy: -0.70 eV per atom
* calculated volume: 1147 Å³/cell



# 12
Computed, not measured: a relaxed Si3Os2 crystal at the GGA-PBE level of DFT.

Geometry as extended XYZ:
```
20
Lattice="5.651 0.000 0.000 0.000 5.651 0.000 0.000 0.000 8.944" Properties=species:S:1:pos:R:3 pbc="T T T"
Si 0.814 1.661 3.660
Si 0.814 3.990 8.132
Si 1.661 0.814 0.812
Si 1.661 4.837 5.284
Si 1.873 1.873 6.708
Si 1.873 3.778 2.236
Si 3.778 1.873 2.236
Si 3.778 3.778 6.708
Si 3.990 0.814 5.284
Si 3.990 4.837 0.812
Si 4.837 1.661 8.132
Si 4.837 3.990 3.660
Os 0.000 0.000 2.236
Os 0.000 0.000 6.708
Os 0.000 2.825 1.146
Os 0.000 2.825 5.618
Os 2.825 0.000 3.326
Os 2.825 0.000 7.798
Os 2.825 2.825 0.000
Os 2.825 2.825 4.472
```

* final energy: -8.167 eV per atom
* crystal system: tetragonal
* formation energy: -0.42 eV per atom
* piezoelectric modulus e_max: 8.17 C/m2
* calculated volume: 286 Å³/cell